No. 1
LiFeP2O7: optimized geometry, PBE+U.

Calculated values
**Density**: 2.9 g cm⁻³
**Formation energy from the elements**: -2.526 eV/atom
**Excess energy over the best structure of this formula in the dataset**: 0.00 eV/f.u.
**Maximum piezoelectric response**: 0.4 C/m2

Geometry as CIF:
```
data_LiFeP2O7
_chemical_formula_sum 'Li2 Fe2 P4 O14'
_space_group_name_H-M_alt 'P 1 21 1'
_space_group_IT_number 4
_space_group_name_Hall 'P 2yb'
_cell_length_a 4.9029
_cell_length_b 8.2366
_cell_length_c 7.0331
_cell_angle_alpha 90.00
_cell_angle_beta 108.85
_cell_angle_gamma 90.00
loop_
_atom_site_label
_atom_site_type_symbol
_atom_site_fract_x
_atom_site_fract_y
_atom_site_fract_z
Li1 Li 0.1770 0.0000 0.1658
Fe1 Fe 0.2166 0.6406 0.2336
P1 P 0.2148 0.9254 0.5838
P2 P 0.3990 0.3212 0.0236
O1 O 0.0515 0.4681 0.3610
O2 O 0.1395 0.8366 0.3817
O3 O 0.1856 0.1793 0.9827
O4 O 0.2460 0.4856 0.0125
O5 O 0.4024 0.0742 0.5842
O6 O 0.4018 0.7932 0.7452
O7 O 0.4026 0.8199 0.1053
```


No. 2
LiFeP3O9: optimized geometry, PBE+U.

Calculated values
**Density**: 3.0 g cm⁻³
**Formation energy from the elements**: -2.549 eV/atom
**Excess energy over the best structure of this formula in the dataset**: 0.07 eV/f.u.
**Total moment**: 16.00 Bohr magnetons per cell

Geometry as CIF:
```
data_LiFeP3O9
_chemical_formula_sum 'Li4 Fe4 P12 O36'
_space_group_name_H-M_alt 'P 21 21 21'
_space_group_IT_number 19
_space_group_name_Hall 'P 2ac 2ab'
_cell_length_a 8.4962
_cell_length_b 8.6208
_cell_length_c 8.9788
_cell_angle_alpha 90.00
_cell_angle_beta 90.00
_cell_angle_gamma 90.00
loop_
_atom_site_label
_atom_site_type_symbol
_atom_site_fract_x
_atom_site_fract_y
_atom_site_fract_z
Li1 Li 0.1300 0.1420 0.1646
Fe1 Fe 0.1525 0.8714 0.3901
P1 P 0.0287 0.6832 0.6811
P2 P 0.1886 0.5222 0.1914
P3 P 0.1996 0.1918 0.5673
O1 O 0.0392 0.2318 0.6587
O2 O 0.0905 0.3883 0.1352
O3 O 0.1031 0.1282 0.9182
O4 O 0.1272 0.6169 0.3194
O5 O 0.1305 0.8123 0.6217
O6 O 0.1390 0.5410 0.7333
O7 O 0.1578 0.1329 0.4152
O8 O 0.1941 0.9079 0.1618
O9 O 0.2284 0.6351 0.0512
```


No. 3
Li4FeP2O8: optimized geometry, PBE+U.

Calculated values
**Density**: 2.6 g cm⁻³
**Formation energy from the elements**: -2.617 eV/atom
**Excess energy over the best structure of this formula in the dataset**: 0.00 eV/f.u.
**Total moment**: 16.00 Bohr magnetons per cell

Geometry as CIF:
```
data_Li4FeP2O8
_chemical_formula_sum 'Li16 Fe4 P8 O32'
_space_group_name_H-M_alt 'P 1 21/c 1'
_space_group_IT_number 14
_space_group_name_Hall '-P 2ybc'
_cell_length_a 8.2789
_cell_length_b 10.4795
_cell_length_c 8.2206
_cell_angle_alpha 90.00
_cell_angle_beta 104.28
_cell_angle_gamma 90.00
loop_
_atom_site_label
_atom_site_type_symbol
_atom_site_fract_x
_atom_site_fract_y
_atom_site_fract_z
Li1 Li 0.0241 0.0730 0.2742
Li2 Li 0.1021 0.1623 0.6018
Li3 Li 0.1507 0.6625 0.6536
Li4 Li 0.3492 0.1526 0.3499
Fe1 Fe 0.4072 0.6568 0.4093
P1 P 0.2092 0.0920 0.9748
P2 P 0.2657 0.5937 0.0300
O1 O 0.0619 0.0978 0.8157
O2 O 0.1159 0.6541 0.0862
O3 O 0.1607 0.1531 0.1284
O4 O 0.2263 0.0472 0.4792
O5 O 0.2570 0.5506 0.5151
O6 O 0.2973 0.6686 0.8771
O7 O 0.3598 0.1661 0.9375
O8 O 0.4263 0.6092 0.1762
```


No. 4
Li2FeP2O7: optimized geometry, PBE+U.

Calculated values
**Density**: 2.8 g cm⁻³
**Formation energy from the elements**: -2.535 eV/atom
**Excess energy over the best structure of this formula in the dataset**: 0.44 eV/f.u.
**Total moment**: 32.00 Bohr magnetons per cell

Geometry as CIF:
```
data_Li2FeP2O7
_chemical_formula_sum 'Li16 Fe8 P16 O56'
_space_group_name_H-M_alt 'C 1 2/c 1'
_space_group_IT_number 15
_space_group_name_Hall '-C 2yc'
_cell_length_a 7.9432
_cell_length_b 12.8845
_cell_length_c 11.1856
_cell_angle_alpha 90.00
_cell_angle_beta 91.49
_cell_angle_gamma 90.00
loop_
_atom_site_label
_atom_site_type_symbol
_atom_site_fract_x
_atom_site_fract_y
_atom_site_fract_z
Li1 Li 0.0000 0.2102 0.2500
Li2 Li 0.0000 0.2203 0.7500
Li3 Li 0.0105 0.2160 0.5023
Fe1 Fe 0.1929 0.0016 0.1169
P1 P 0.1900 0.3946 0.6283
P2 P 0.2078 0.3841 0.1324
O1 O 0.0503 0.3157 0.6262
O2 O 0.0823 0.2969 0.1251
O3 O 0.0980 0.4919 0.1264
O4 O 0.1720 0.1088 0.9746
O5 O 0.1907 0.1140 0.7477
O6 O 0.1959 0.1069 0.2573
O7 O 0.2014 0.1110 0.4847
```


No. 5
LiFeP3O9: optimized geometry, PBE+U.

Calculated values
**Density**: 2.8 g cm⁻³
**Formation energy from the elements**: -2.503 eV/atom
**Excess energy over the best structure of this formula in the dataset**: 0.72 eV/f.u.
**Total moment**: 16.00 Bohr magnetons per cell

Geometry as CIF:
```
data_LiFeP3O9
_chemical_formula_sum 'Li4 Fe4 P12 O36'
_space_group_name_H-M_alt 'C 1 c 1'
_space_group_IT_number 9
_space_group_name_Hall 'C -2yc'
_cell_length_a 11.2700
_cell_length_b 6.4781
_cell_length_c 9.7637
_cell_angle_alpha 90.00
_cell_angle_beta 90.23
_cell_angle_gamma 90.00
loop_
_atom_site_label
_atom_site_type_symbol
_atom_site_fract_x
_atom_site_fract_y
_atom_site_fract_z
Li1 Li 0.0000 0.0074 0.0000
Fe1 Fe 0.1678 0.4974 0.0000
P1 P 0.2105 0.1544 0.7505
P2 P 0.3201 0.2640 0.2497
P3 P 0.4735 0.1104 0.7496
O1 O 0.0317 0.3303 0.1169
O2 O 0.0353 0.3419 0.3826
O3 O 0.1524 0.2172 0.8825
O4 O 0.1554 0.2195 0.6170
O5 O 0.2175 0.0926 0.2505
O6 O 0.3142 0.3827 0.1176
O7 O 0.3191 0.3799 0.3832
O8 O 0.3471 0.2229 0.7544
O9 O 0.4395 0.1300 0.2450
```


No. 6
LiFeP3O9: optimized geometry, PBE+U.

Calculated values
**Density**: 2.9 g cm⁻³
**Formation energy from the elements**: -2.504 eV/atom
**Excess energy over the best structure of this formula in the dataset**: 0.70 eV/f.u.
**Total moment**: 8.00 Bohr magnetons per cell

Geometry as CIF:
```
data_LiFeP3O9
_chemical_formula_sum 'Li2 Fe2 P6 O18'
_space_group_name_H-M_alt 'P -1'
_space_group_IT_number 2
_space_group_name_Hall '-P 1'
_cell_length_a 6.8058
_cell_length_b 7.0736
_cell_length_c 7.4067
_cell_angle_alpha 84.04
_cell_angle_beta 77.20
_cell_angle_gamma 84.68
loop_
_atom_site_label
_atom_site_type_symbol
_atom_site_fract_x
_atom_site_fract_y
_atom_site_fract_z
Li1 Li 0.0713 0.2749 0.1299
Fe1 Fe 0.4395 0.8538 0.8487
P1 P 0.1519 0.7023 0.2229
P2 P 0.2274 0.1519 0.5490
P3 P 0.4160 0.3802 0.7777
O1 O 0.0083 0.7795 0.4095
O2 O 0.0649 0.5343 0.1737
O3 O 0.1969 0.8666 0.0744
O4 O 0.2591 0.9714 0.6676
O5 O 0.2867 0.1510 0.3400
O6 O 0.3330 0.3256 0.6046
O7 O 0.3461 0.6443 0.3111
O8 O 0.3579 0.5856 0.8042
O9 O 0.3627 0.2313 0.9419
```


No. 7
LiFe2P2O8: optimized geometry, PBE+U.

Calculated values
**Density**: 3.3 g cm⁻³
**Formation energy from the elements**: -2.323 eV/atom
**Excess energy over the best structure of this formula in the dataset**: 0.85 eV/f.u.
**Total moment**: 27.00 Bohr magnetons per cell

Geometry as CIF:
```
data_LiFe2P2O8
_chemical_formula_sum 'Li3 Fe6 P6 O24'
_space_group_name_H-M_alt 'P 1'
_space_group_IT_number 1
_space_group_name_Hall 'P 1'
_cell_length_a 7.4866
_cell_length_b 7.5288
_cell_length_c 9.5252
_cell_angle_alpha 88.09
_cell_angle_beta 89.75
_cell_angle_gamma 60.61
loop_
_atom_site_label
_atom_site_type_symbol
_atom_site_fract_x
_atom_site_fract_y
_atom_site_fract_z
Li1 Li 0.0000 0.0000 0.0000
Li2 Li 0.1463 0.5470 0.0084
Li3 Li 0.7717 0.7309 0.5091
Fe1 Fe 0.0141 0.3309 0.7774
Fe2 Fe 0.3696 0.8423 0.7875
Fe3 Fe 0.3965 0.7446 0.3072
Fe4 Fe 0.5081 0.1810 0.7930
Fe5 Fe 0.5761 0.2405 0.2916
Fe6 Fe 0.9022 0.3855 0.2825
P1 P 0.2991 0.1233 0.4851
P2 P 0.3028 0.1288 0.0903
P3 P 0.6100 0.4643 0.5859
P4 P 0.6267 0.4460 0.9864
P5 P 0.9550 0.7941 0.2546
P6 P 0.9558 0.7939 0.7540
O1 O 0.0488 0.5735 0.8222
O2 O 0.0748 0.8973 0.8161
O3 O 0.0856 0.1868 0.4295
O4 O 0.1187 0.3349 0.1266
O5 O 0.1813 0.6895 0.3155
O6 O 0.2758 0.9468 0.1480
O7 O 0.3012 0.1279 0.6527
O8 O 0.3105 0.1190 0.9234
O9 O 0.3816 0.2621 0.4282
O10 O 0.4148 0.6455 0.6349
O11 O 0.4524 0.8999 0.4413
O12 O 0.4685 0.3829 0.9353
O13 O 0.5024 0.1101 0.1494
O14 O 0.5600 0.6651 0.9427
O15 O 0.6010 0.4662 0.4143
O16 O 0.6247 0.4368 0.1568
O17 O 0.6315 0.2612 0.6445
O18 O 0.7270 0.9160 0.8134
O19 O 0.8033 0.4796 0.6178
O20 O 0.8433 0.0168 0.3099
O21 O 0.8432 0.2909 0.9400
O22 O 0.8497 0.6755 0.3143
O23 O 0.9472 0.7975 0.5973
O24 O 0.9675 0.7958 0.0958
```


No. 8
LiFePO4: optimized geometry, PBE+U.

Calculated values
**Density**: 3.1 g cm⁻³
**Formation energy from the elements**: -2.393 eV/atom
**Excess energy over the best structure of this formula in the dataset**: 0.61 eV/f.u.
**Total moment**: 24.00 Bohr magnetons per cell

Geometry as CIF:
```
data_LiFePO4
_chemical_formula_sum 'Li6 Fe6 P6 O24'
_space_group_name_H-M_alt 'P 3 1 c'
_space_group_IT_number 159
_space_group_name_Hall 'P 3 -2c'
_cell_length_a 7.6552
_cell_length_b 7.6552
_cell_length_c 9.8507
_cell_angle_alpha 90.00
_cell_angle_beta 90.00
_cell_angle_gamma 120.00
loop_
_atom_site_label
_atom_site_type_symbol
_atom_site_fract_x
_atom_site_fract_y
_atom_site_fract_z
Li1 Li 0.0464 0.5933 0.0000
Fe1 Fe 0.0553 0.2834 0.7764
P1 P 0.0000 0.0000 0.0119
P2 P 0.3333 0.6667 0.2808
P3 P 0.3333 0.6667 0.6868
O1 O 0.0000 0.0000 0.1746
O2 O 0.0877 0.8682 0.9609
O3 O 0.1227 0.5071 0.3387
O4 O 0.1871 0.7385 0.6344
O5 O 0.3333 0.6667 0.1246
O6 O 0.3333 0.6667 0.8440
```